# 1
MnFe3P4O16 | PBE with a Hubbard U | relaxed

Values from the calculation:
Its symmetry is Pc, No. 7. The formation energy from the elements is -5424 kJ/mol of formula units.

Cell and atoms, written as CIF:
```
data_MnFe3P4O16
_chemical_formula_sum 'Mn2 Fe6 P8 O32'
_cell_length_a 9.937
_cell_length_b 7.726
_cell_length_c 7.739
_cell_angle_alpha 78.72
_cell_angle_beta 90.00
_cell_angle_gamma 90.00
_space_group_name_H-M_alt 'P 1'
_space_group_IT_number 1
_space_group_name_Hall 'P 1'
loop_
_atom_site_label
_atom_site_type_symbol
_atom_site_fract_x
_atom_site_fract_y
_atom_site_fract_z
_atom_site_occupancy
O1 O 0.871 0.761 0.988 1
O2 O 0.801 0.557 0.695 1
O3 O 0.197 0.552 0.198 1
O4 O 0.423 0.116 0.837 1
O5 O 0.628 0.741 0.508 1
O6 O 0.698 0.949 0.797 1
O7 O 0.580 0.913 0.131 1
O8 O 0.129 0.261 0.988 1
O9 O 0.578 0.111 0.336 1
O10 O 0.076 0.387 0.662 1
O11 O 0.372 0.241 0.508 1
O12 O 0.924 0.887 0.662 1
O13 O 0.304 0.949 0.301 1
O14 O 0.577 0.616 0.837 1
O15 O 0.420 0.413 0.131 1
O16 O 0.423 0.914 0.640 1
O17 O 0.868 0.260 0.489 1
O18 O 0.199 0.057 0.695 1
O19 O 0.921 0.387 0.163 1
O20 O 0.921 0.588 0.363 1
O21 O 0.577 0.414 0.640 1
O22 O 0.923 0.088 0.862 1
O23 O 0.077 0.588 0.862 1
O24 O 0.370 0.741 0.011 1
O25 O 0.630 0.241 0.011 1
O26 O 0.422 0.611 0.336 1
O27 O 0.079 0.887 0.163 1
O28 O 0.696 0.449 0.301 1
O29 O 0.302 0.449 0.797 1
O30 O 0.132 0.760 0.489 1
O31 O 0.079 0.088 0.363 1
O32 O 0.803 0.052 0.198 1
P1 P 0.152 0.415 0.834 1
P2 P 0.349 0.584 0.164 1
P3 P 0.650 0.588 0.665 1
P4 P 0.651 0.084 0.164 1
P5 P 0.848 0.915 0.834 1
P6 P 0.847 0.415 0.335 1
P7 P 0.153 0.915 0.335 1
P8 P 0.350 0.088 0.665 1
Fe1 Fe 0.524 0.863 0.895 1
Fe2 Fe 0.977 0.641 0.610 1
Fe3 Fe 0.024 0.639 0.110 1
Fe4 Fe 0.476 0.363 0.895 1
Fe5 Fe 0.976 0.139 0.110 1
Fe6 Fe 0.023 0.141 0.610 1
Mn1 Mn 0.535 0.340 0.405 1
Mn2 Mn 0.465 0.840 0.405 1
```

=====

# 2
Mn2FeP2O11 | PBE with a Hubbard U | relaxed

Values from the calculation:
Its symmetry is Pbcn, No. 60. The formation energy from the elements is -3069 kJ/mol of formula units.

Cell and atoms, written as CIF:
```
data_Mn2FeP2O11
_chemical_formula_sum 'Mn8 Fe4 P8 O44'
_cell_length_a 7.868
_cell_length_b 9.677
_cell_length_c 9.399
_cell_angle_alpha 90.00
_cell_angle_beta 90.00
_cell_angle_gamma 90.00
_space_group_name_H-M_alt 'P 1'
_space_group_IT_number 1
_space_group_name_Hall 'P 1'
loop_
_atom_site_label
_atom_site_type_symbol
_atom_site_fract_x
_atom_site_fract_y
_atom_site_fract_z
_atom_site_occupancy
O1 O 0.898 0.844 0.912 1
O2 O 0.704 0.360 0.446 1
O3 O 0.398 0.344 0.588 1
O4 O 0.345 0.525 0.846 1
O5 O 0.586 0.888 0.974 1
O6 O 0.914 0.388 0.974 1
O7 O 0.155 0.025 0.846 1
O8 O 0.500 0.046 0.750 1
O9 O 0.796 0.140 0.946 1
O10 O 0.845 0.975 0.154 1
O11 O 0.414 0.112 0.026 1
O12 O 0.332 0.797 0.768 1
O13 O 0.086 0.612 0.026 1
O14 O 0.000 0.546 0.750 1
O15 O 0.704 0.640 0.946 1
O16 O 0.668 0.203 0.232 1
O17 O 0.832 0.703 0.232 1
O18 O 0.155 0.975 0.346 1
O19 O 0.168 0.703 0.268 1
O20 O 0.500 0.954 0.250 1
O21 O 0.168 0.297 0.768 1
O22 O 0.668 0.797 0.732 1
O23 O 0.898 0.156 0.412 1
O24 O 0.086 0.388 0.526 1
O25 O 0.602 0.344 0.912 1
O26 O 0.832 0.297 0.732 1
O27 O 0.586 0.112 0.474 1
O28 O 0.398 0.656 0.088 1
O29 O 0.296 0.640 0.554 1
O30 O 0.332 0.203 0.268 1
O31 O 0.655 0.475 0.154 1
O32 O 0.102 0.156 0.088 1
O33 O 0.000 0.454 0.250 1
O34 O 0.102 0.844 0.588 1
O35 O 0.296 0.360 0.054 1
O36 O 0.414 0.888 0.526 1
O37 O 0.602 0.656 0.412 1
O38 O 0.796 0.860 0.446 1
O39 O 0.655 0.525 0.654 1
O40 O 0.845 0.025 0.654 1
O41 O 0.204 0.140 0.554 1
O42 O 0.345 0.475 0.346 1
O43 O 0.204 0.860 0.054 1
O44 O 0.914 0.612 0.474 1
P1 P 0.784 0.709 0.392 1
P2 P 0.216 0.709 0.108 1
P3 P 0.784 0.291 0.892 1
P4 P 0.716 0.791 0.892 1
P5 P 0.284 0.209 0.108 1
P6 P 0.216 0.291 0.608 1
P7 P 0.716 0.209 0.392 1
P8 P 0.284 0.791 0.608 1
Fe1 Fe 0.000 0.000 0.500 1
Fe2 Fe 0.000 0.000 0.000 1
Fe3 Fe 0.500 0.500 0.500 1
Fe4 Fe 0.500 0.500 0.000 1
Mn1 Mn 0.637 0.957 0.617 1
Mn2 Mn 0.137 0.543 0.383 1
Mn3 Mn 0.863 0.457 0.617 1
Mn4 Mn 0.363 0.043 0.383 1
Mn5 Mn 0.363 0.957 0.883 1
Mn6 Mn 0.137 0.457 0.883 1
Mn7 Mn 0.863 0.543 0.117 1
Mn8 Mn 0.637 0.043 0.117 1
```

=====

# 3
Mn3FeP6O24 | PBE with a Hubbard U | relaxed

Values from the calculation:
Its symmetry is R3, No. 146. The formation energy from the elements is -7133 kJ/mol of formula units.

Cell and atoms, written as CIF:
```
data_Mn3FeP6O24
_chemical_formula_sum 'Mn3 Fe1 P6 O24'
_cell_length_a 8.785
_cell_length_b 8.785
_cell_length_c 8.785
_cell_angle_alpha 58.16
_cell_angle_beta 58.16
_cell_angle_gamma 58.16
_space_group_name_H-M_alt 'P 1'
_space_group_IT_number 1
_space_group_name_Hall 'P 1'
loop_
_atom_site_label
_atom_site_type_symbol
_atom_site_fract_x
_atom_site_fract_y
_atom_site_fract_z
_atom_site_occupancy
O1 O 0.713 0.941 0.082 1
O2 O 0.221 0.576 0.433 1
O3 O 0.926 0.278 0.060 1
O4 O 0.013 0.773 0.634 1
O5 O 0.060 0.926 0.278 1
O6 O 0.988 0.229 0.359 1
O7 O 0.509 0.140 0.278 1
O8 O 0.634 0.013 0.773 1
O9 O 0.082 0.713 0.941 1
O10 O 0.278 0.509 0.140 1
O11 O 0.576 0.433 0.221 1
O12 O 0.773 0.634 0.013 1
O13 O 0.556 0.782 0.430 1
O14 O 0.726 0.485 0.862 1
O15 O 0.782 0.430 0.556 1
O16 O 0.278 0.060 0.926 1
O17 O 0.433 0.221 0.576 1
O18 O 0.941 0.082 0.713 1
O19 O 0.140 0.278 0.509 1
O20 O 0.229 0.359 0.988 1
O21 O 0.359 0.988 0.229 1
O22 O 0.862 0.726 0.485 1
O23 O 0.430 0.556 0.782 1
O24 O 0.485 0.862 0.726 1
Mn1 Mn 0.145 0.145 0.145 1
Mn2 Mn 0.646 0.646 0.646 1
Mn3 Mn 0.355 0.355 0.355 1
P1 P 0.532 0.966 0.254 1
P2 P 0.036 0.750 0.463 1
P3 P 0.750 0.463 0.036 1
P4 P 0.966 0.254 0.532 1
P5 P 0.463 0.036 0.750 1
P6 P 0.254 0.532 0.966 1
Fe1 Fe 0.857 0.857 0.857 1
```

=====

# 4
Mn11FeP12O48 | PBE with a Hubbard U | relaxed

Values from the calculation:
Its symmetry is Pm, No. 6. The formation energy from the elements is -16860 kJ/mol of formula units.

Cell and atoms, written as CIF:
```
data_Mn11FeP12O48
_chemical_formula_sum 'Mn11 Fe1 P12 O48'
_cell_length_a 18.103
_cell_length_b 4.930
_cell_length_c 9.830
_cell_angle_alpha 89.89
_cell_angle_beta 90.00
_cell_angle_gamma 90.00
_space_group_name_H-M_alt 'P 1'
_space_group_IT_number 1
_space_group_name_Hall 'P 1'
loop_
_atom_site_label
_atom_site_type_symbol
_atom_site_fract_x
_atom_site_fract_y
_atom_site_fract_z
_atom_site_occupancy
O1 O 0.234 0.728 0.829 1
O2 O 0.167 0.226 0.381 1
O3 O 0.600 0.273 0.170 1
O4 O 0.766 0.728 0.829 1
O5 O 0.500 0.281 0.883 1
O6 O 0.000 0.147 0.445 1
O7 O 0.500 0.851 0.553 1
O8 O 0.667 0.727 0.119 1
O9 O 0.000 0.726 0.119 1
O10 O 0.400 0.273 0.170 1
O11 O 0.732 0.227 0.672 1
O12 O 0.567 0.772 0.327 1
O13 O 0.767 0.773 0.329 1
O14 O 0.598 0.224 0.671 1
O15 O 0.833 0.854 0.555 1
O16 O 0.500 0.656 0.057 1
O17 O 0.500 0.224 0.380 1
O18 O 0.100 0.772 0.329 1
O19 O 0.000 0.354 0.945 1
O20 O 0.334 0.773 0.618 1
O21 O 0.402 0.224 0.671 1
O22 O 0.566 0.736 0.830 1
O23 O 0.334 0.146 0.445 1
O24 O 0.067 0.228 0.671 1
O25 O 0.267 0.273 0.171 1
O26 O 0.434 0.736 0.830 1
O27 O 0.233 0.773 0.329 1
O28 O 0.100 0.728 0.829 1
O29 O 0.268 0.227 0.672 1
O30 O 0.833 0.274 0.881 1
O31 O 0.666 0.355 0.945 1
O32 O 0.833 0.226 0.381 1
O33 O 0.167 0.646 0.054 1
O34 O 0.334 0.355 0.945 1
O35 O 0.900 0.772 0.329 1
O36 O 0.933 0.272 0.171 1
O37 O 0.733 0.273 0.171 1
O38 O 0.067 0.272 0.171 1
O39 O 0.000 0.774 0.619 1
O40 O 0.167 0.274 0.881 1
O41 O 0.666 0.773 0.618 1
O42 O 0.933 0.228 0.671 1
O43 O 0.333 0.727 0.119 1
O44 O 0.666 0.146 0.445 1
O45 O 0.900 0.728 0.829 1
O46 O 0.833 0.646 0.054 1
O47 O 0.433 0.772 0.327 1
O48 O 0.167 0.854 0.555 1
Mn1 Mn 0.666 0.930 0.284 1
Mn2 Mn 0.667 0.568 0.783 1
Mn3 Mn 0.167 0.430 0.216 1
Mn4 Mn 0.000 0.570 0.784 1
Mn5 Mn 0.833 0.071 0.715 1
Mn6 Mn 0.500 0.431 0.216 1
Mn7 Mn 0.334 0.930 0.284 1
Mn8 Mn 0.833 0.430 0.216 1
Mn9 Mn 0.167 0.071 0.715 1
Mn10 Mn 0.000 0.930 0.285 1
Mn11 Mn 0.333 0.568 0.783 1
P1 P 0.665 0.085 0.599 1
P2 P 0.000 0.085 0.599 1
P3 P 0.335 0.085 0.599 1
P4 P 0.667 0.416 0.099 1
P5 P 0.167 0.915 0.401 1
P6 P 0.833 0.915 0.401 1
P7 P 0.500 0.587 0.904 1
P8 P 0.500 0.913 0.400 1
P9 P 0.000 0.415 0.099 1
P10 P 0.333 0.416 0.099 1
P11 P 0.167 0.585 0.901 1
P12 P 0.833 0.585 0.901 1
Fe1 Fe 0.500 0.042 0.725 1
```